The following is a DFT calculation (r²SCAN) of a relaxed structure of Li2SnPd.

Summary:
Energy relative to the elements = -2.41 eV/f.u.
Space-group type = F-43m, No. 216

Cell lengths 4.4773, 4.4773, 4.4773 Å; angles 60.00, 60.00, 60.00 degrees
Atoms (fractional coordinates):
Li  0.7500  0.7500  0.7500
Li  0.5000  0.5000  0.5000
Pd  0.2500  0.2500  0.2500
Sn  0.0000  0.0000  0.0000

***

The following is a DFT calculation (r²SCAN) of a relaxed structure of Na2BeCl4.

Summary:
Energy relative to the elements = -13.00 eV/f.u.
Space-group type = Pnma, No. 62

Cell lengths 6.0768, 7.9884, 13.3406 Å; angles 90.00, 90.00, 90.00 degrees
Atoms (fractional coordinates):
Be  0.4071  0.2500  0.0915
Be  0.0929  0.2500  0.5915
Be  0.9071  0.7500  0.4085
Be  0.5929  0.7500  0.9085
Cl  0.7614  0.2500  0.5918
Cl  0.2386  0.7500  0.4082
Cl  0.2798  0.0450  0.1630
Cl  0.7202  0.9550  0.8370
Cl  0.7202  0.5450  0.8370
Cl  0.7798  0.9550  0.3370
Cl  0.2614  0.7500  0.9082
Cl  0.2834  0.2500  0.9486
Cl  0.7834  0.7500  0.5514
Cl  0.7386  0.2500  0.0918
Cl  0.2202  0.0450  0.6630
Cl  0.2166  0.2500  0.4486
Cl  0.7798  0.5450  0.3370
Cl  0.2798  0.4550  0.1630
Cl  0.7166  0.7500  0.0514
Cl  0.2202  0.4550  0.6630
Na  0.0000  0.0000  0.0000
Na  0.9854  0.2500  0.2716
Na  0.5146  0.2500  0.7716
Na  0.5000  0.5000  0.5000
Na  0.5000  0.0000  0.5000
Na  0.0146  0.7500  0.7284
Na  0.4854  0.7500  0.2284
Na  0.0000  0.5000  0.0000

***

The following is a DFT calculation (r²SCAN) of a relaxed structure of LiZn3.

Summary:
Energy relative to the elements = -0.64 eV/f.u.
Space-group type = P6_3/mmc, No. 194

Cell lengths 5.4171, 5.4171, 4.3368 Å; angles 90.00, 90.00, 120.00 degrees
Atoms (fractional coordinates):
Li  0.3333  0.6667  0.7500
Li  0.6667  0.3333  0.2500
Zn  0.3349  0.1675  0.7500
Zn  0.6651  0.8325  0.2500
Zn  0.1675  0.8325  0.2500
Zn  0.8325  0.1675  0.7500
Zn  0.1675  0.3349  0.2500
Zn  0.8325  0.6651  0.7500

***

The following is a DFT calculation (r²SCAN) of a relaxed structure of Ba2PrTaO6.

Summary:
Energy relative to the elements = -33.36 eV/f.u.
Space-group type = C2/m, No. 12

Cell lengths 6.0901, 6.0901, 6.1571 Å; angles 59.97, 59.97, 60.04 degrees
Atoms (fractional coordinates):
O  0.6977  0.2348  0.3068
O  0.7652  0.3023  0.6932
O  0.3023  0.7652  0.6932
O  0.2348  0.6977  0.3068
O  0.7282  0.7282  0.2088
O  0.2718  0.2718  0.7912
Ba  0.2483  0.2483  0.2564
Ba  0.7517  0.7517  0.7436
Pr  0.0000  0.0000  0.0000
Ta  0.5000  0.5000  0.5000

***

The following is a DFT calculation (r²SCAN) of a relaxed structure of Ca3Ru2O7.

Summary:
Energy relative to the elements = -27.22 eV/f.u.
Space-group type = Cmc2_1, No. 36

Cell lengths 10.1235, 10.1235, 5.5560 Å; angles 90.00, 90.00, 149.20 degrees
Atoms (fractional coordinates):
Ru  0.8513  0.6538  0.7506
Ru  0.3462  0.1487  0.2506
Ru  0.6538  0.8513  0.7506
Ru  0.1487  0.3462  0.2506
Ca  0.0678  0.4446  0.8061
Ca  0.5554  0.9322  0.3061
Ca  0.2661  0.2661  0.6912
Ca  0.4446  0.0678  0.8061
Ca  0.7339  0.7339  0.1912
Ca  0.9322  0.5554  0.3061
O  0.9330  0.1662  0.5451
O  0.8792  0.4821  0.7300
O  0.4713  0.6327  0.4513
O  0.0670  0.8338  0.0451
O  0.1208  0.5179  0.2300
O  0.5179  0.1208  0.2300
O  0.1630  0.1630  0.2706
O  0.1662  0.9330  0.5451
O  0.3673  0.5287  0.9513
O  0.4821  0.8792  0.7300
O  0.8370  0.8370  0.7706
O  0.5287  0.3673  0.9513
O  0.6327  0.4713  0.4513
O  0.8338  0.0670  0.0451

***

The following is a DFT calculation (r²SCAN) of a relaxed structure of LiSn5Rh3.

Summary:
Energy relative to the elements = -4.25 eV/f.u.
Space-group type = Pbcm, No. 57

Cell lengths 5.4454, 9.7895, 12.8683 Å; angles 90.00, 90.00, 90.00 degrees
Atoms (fractional coordinates):
Sn  0.3748  0.3256  0.3877
Sn  0.1596  0.9254  0.2500
Sn  0.6252  0.6744  0.8877
Sn  0.6252  0.6744  0.6123
Sn  0.3748  0.3256  0.1123
Sn  0.3748  0.1744  0.6123
Sn  0.8668  0.3737  0.5632
Sn  0.6252  0.8256  0.3877
Sn  0.8404  0.4254  0.2500
Sn  0.3748  0.1744  0.8877
Sn  0.1596  0.5746  0.7500
Sn  0.8668  0.1263  0.0632
Sn  0.1332  0.6263  0.0632
Sn  0.6252  0.8256  0.1123
Sn  0.1332  0.6263  0.4368
Sn  0.1332  0.8737  0.5632
Sn  0.1332  0.8737  0.9368
Sn  0.8404  0.0746  0.7500
Sn  0.8668  0.1263  0.4368
Sn  0.8668  0.3737  0.9368
Rh  0.9051  0.8037  0.7500
Rh  0.3530  0.4479  0.9221
Rh  0.0949  0.1963  0.2500
Rh  0.3530  0.0521  0.0779
Rh  0.3530  0.4479  0.5779
Rh  0.9051  0.6963  0.2500
Rh  0.0949  0.3037  0.7500
Rh  0.3530  0.0521  0.4221
Rh  0.6470  0.9479  0.9221
Rh  0.6470  0.5521  0.4221
Rh  0.6470  0.5521  0.0779
Rh  0.6470  0.9479  0.5779
Li  0.5955  0.1092  0.2500
Li  0.4045  0.8908  0.7500
Li  0.5955  0.3908  0.7500
Li  0.4045  0.6092  0.2500

***

The following is a DFT calculation (r²SCAN) of a relaxed structure of TmLuAu2.

Summary:
Energy relative to the elements = -3.93 eV/f.u.
Space-group type = Fm-3m, No. 225

Cell lengths 4.9627, 4.9627, 4.9627 Å; angles 60.00, 60.00, 60.00 degrees
Atoms (fractional coordinates):
Lu  0.5000  0.5000  0.5000
Au  0.7500  0.7500  0.7500
Au  0.2500  0.2500  0.2500
Tm  0.0000  0.0000  0.0000

***

The following is a DFT calculation (r²SCAN) of a relaxed structure of NdSI.

Summary:
Energy relative to the elements = -6.19 eV/f.u.
Space-group type = Pbca, No. 61

Cell lengths 7.0723, 7.3059, 14.3678 Å; angles 90.00, 90.00, 90.00 degrees
Atoms (fractional coordinates):
Nd  0.7414  0.0293  0.0834
Nd  0.7414  0.5293  0.4166
Nd  0.2414  0.4707  0.0834
Nd  0.7586  0.0293  0.5834
Nd  0.2414  0.9707  0.4166
Nd  0.7586  0.5293  0.9166
Nd  0.2586  0.9707  0.9166
Nd  0.2586  0.4707  0.5834
S  0.5012  0.2412  0.4767
S  0.0012  0.7588  0.0233
S  0.9988  0.2412  0.9767
S  0.4988  0.2588  0.9767
S  0.9988  0.7412  0.5233
S  0.5012  0.7412  0.0233
S  0.4988  0.7588  0.5233
S  0.0012  0.2588  0.4767
I  0.1742  0.5988  0.7981
I  0.8258  0.9012  0.2981
I  0.6742  0.9012  0.7981
I  0.1742  0.0988  0.7019
I  0.3258  0.0988  0.2019
I  0.3258  0.5988  0.2981
I  0.8258  0.4012  0.2019
I  0.6742  0.4012  0.7019

***

Copy entry 2 word for word.
The following is a DFT calculation (r²SCAN) of a relaxed structure of Na2BeCl4.

Summary:
Energy relative to the elements = -13.00 eV/f.u.
Space-group type = Pnma, No. 62

Cell lengths 6.0768, 7.9884, 13.3406 Å; angles 90.00, 90.00, 90.00 degrees
Atoms (fractional coordinates):
Be  0.4071  0.2500  0.0915
Be  0.0929  0.2500  0.5915
Be  0.9071  0.7500  0.4085
Be  0.5929  0.7500  0.9085
Cl  0.7614  0.2500  0.5918
Cl  0.2386  0.7500  0.4082
Cl  0.2798  0.0450  0.1630
Cl  0.7202  0.9550  0.8370
Cl  0.7202  0.5450  0.8370
Cl  0.7798  0.9550  0.3370
Cl  0.2614  0.7500  0.9082
Cl  0.2834  0.2500  0.9486
Cl  0.7834  0.7500  0.5514
Cl  0.7386  0.2500  0.0918
Cl  0.2202  0.0450  0.6630
Cl  0.2166  0.2500  0.4486
Cl  0.7798  0.5450  0.3370
Cl  0.2798  0.4550  0.1630
Cl  0.7166  0.7500  0.0514
Cl  0.2202  0.4550  0.6630
Na  0.0000  0.0000  0.0000
Na  0.9854  0.2500  0.2716
Na  0.5146  0.2500  0.7716
Na  0.5000  0.5000  0.5000
Na  0.5000  0.0000  0.5000
Na  0.0146  0.7500  0.7284
Na  0.4854  0.7500  0.2284
Na  0.0000  0.5000  0.0000

***

> The lowest energy relative to the elements belongs to which entry?

Ba2PrTaO6

***

> Which of these has the highest energy relative to the elements?

LiZn3

***

> Among the records above, which one has the lowest energy relative to the elements?

Ba2PrTaO6